Record 1
# LiMn2O3F

An optimized crystal structure of LiMn2O3F (PBE with a Hubbard U, the Materials Project).

Properties
Offset from the most stable computed form ... 0.36 eV per formula unit
Total energy after the MP2020 corrections ... -211.433 eV/cell
Magnetic moment ... 32.000 Bohr magnetons per cell
Symmetry ... Imm2, No. 44
Formation enthalpy at 0 K ... -1531 kJ/mol of formula units

```
data_LiMn2O3F
_cell_length_a 7.9334
_cell_length_b 7.9334
_cell_length_c 7.9334
_cell_angle_alpha 134.69
_cell_angle_beta 114.96
_cell_angle_gamma 82.81
_symmetry_space_group_name_H-M 'P 1'
_symmetry_Int_Tables_number 1
_symmetry_space_group_name_Hall 'P 1'
loop_
_atom_site_label
_atom_site_type_symbol
_atom_site_fract_x
_atom_site_fract_y
_atom_site_fract_z
O1 O 0.3937 0.0855 0.7329
O2 O 0.1038 0.4110 0.2645
O3 O 0.6474 0.9145 0.3082
O4 O 0.3937 0.6607 0.3082
O5 O 0.6474 0.3393 0.7329
O6 O 0.5077 0.2663 0.2414
O7 O 0.7420 0.5000 0.2420
O8 O 0.7530 0.0000 0.7530
O9 O 0.8535 0.5890 0.6928
O10 O 0.9752 0.7337 0.2414
O11 O 0.1038 0.8393 0.6928
O12 O 0.8535 0.1607 0.2645
Li1 Li 0.2758 0.3773 0.8985
Li2 Li 0.9829 0.8711 0.1118
Li3 Li 0.2407 0.1289 0.1118
Li4 Li 0.5212 0.6227 0.8985
F1 F 0.5116 0.7501 0.7616
F2 F 0.0115 0.2499 0.7616
F3 F 0.2423 0.0000 0.2423
F4 F 0.2604 0.5000 0.7604
Mn1 Mn 0.4857 0.0000 0.4857
Mn2 Mn 0.8731 0.3812 0.0057
Mn3 Mn 0.6245 0.6188 0.4919
Mn4 Mn 0.2425 0.7499 0.4926
Mn5 Mn 0.8731 0.8674 0.4919
Mn6 Mn 0.0130 0.5000 0.5130
Mn7 Mn 0.6245 0.1326 0.0057
Mn8 Mn 0.7427 0.2501 0.4926
```

***

Record 2
# Fe4CoBi5O15

An optimized crystal structure of Fe4CoBi5O15 (PBE with a Hubbard U, the Materials Project).

Properties
Offset from the most stable computed form ... 0.13 eV per formula unit
Total energy after the MP2020 corrections ... -348.626 eV/cell
Magnetic moment ... 40.000 Bohr magnetons per cell
Symmetry ... P1, No. 1
Formation enthalpy at 0 K ... -3826 kJ/mol of formula units

```
data_Fe4CoBi5O15
_cell_length_a 5.6082
_cell_length_b 5.6685
_cell_length_c 23.1859
_cell_angle_alpha 96.81
_cell_angle_beta 89.75
_cell_angle_gamma 119.56
_symmetry_space_group_name_H-M 'P 1'
_symmetry_Int_Tables_number 1
_symmetry_space_group_name_Hall 'P 1'
loop_
_atom_site_label
_atom_site_type_symbol
_atom_site_fract_x
_atom_site_fract_y
_atom_site_fract_z
O1 O 0.1532 0.7663 0.1087
O2 O 0.9549 0.3594 0.5058
O3 O 0.2137 0.2812 0.0892
O4 O 0.7549 0.9600 0.9096
O5 O 0.7718 0.6841 0.1892
O6 O 0.5910 0.7885 0.5763
O7 O 0.7990 0.1904 0.1801
O8 O 0.6996 0.9580 0.4044
O9 O 0.0132 0.8818 0.4851
O10 O 0.5534 0.5697 0.3077
O11 O 0.4146 0.6734 0.6866
O12 O 0.8973 0.1846 0.6771
O13 O 0.3559 0.1558 0.7087
O14 O 0.3639 0.8807 0.9894
O15 O 0.8167 0.4801 0.8885
O16 O 0.0987 0.5952 0.2794
O17 O 0.4944 0.3875 0.4760
O18 O 0.1734 0.4863 0.3856
O19 O 0.3939 0.3903 0.9796
O20 O 0.9047 0.3604 0.0098
O21 O 0.1957 0.9829 0.3751
O22 O 0.6105 0.0748 0.2899
O23 O 0.2956 0.9886 0.8789
O24 O 0.5635 0.2815 0.5867
O25 O 0.3158 0.1635 0.2088
O26 O 0.1041 0.7598 0.6075
O27 O 0.6896 0.7874 0.0795
O28 O 0.9894 0.5835 0.7777
O29 O 0.5000 0.5568 0.8090
O30 O 0.9604 0.0745 0.7872
Fe1 Fe 0.3101 0.6216 0.0459
Fe2 Fe 0.5123 0.0237 0.6434
Fe3 Fe 0.1131 0.2229 0.4421
Fe4 Fe 0.8144 0.6262 0.5432
Fe5 Fe 0.9112 0.8228 0.8451
Fe6 Fe 0.6139 0.2253 0.9454
Fe7 Fe 0.2100 0.4192 0.7442
Fe8 Fe 0.7095 0.4222 0.2457
Bi1 Bi 0.5009 0.9998 0.4962
Bi2 Bi 0.8966 0.7944 0.6992
Bi3 Bi 0.3003 0.6000 0.9009
Bi4 Bi 0.0923 0.1884 0.2994
Bi5 Bi 0.3993 0.7998 0.2013
Bi6 Bi 0.7985 0.5995 0.3969
Bi7 Bi 0.2011 0.3980 0.5987
Bi8 Bi 0.6956 0.3950 0.1015
Bi9 Bi 0.0004 0.9981 0.0023
Bi10 Bi 0.5978 0.1963 0.7996
Co1 Co 0.3995 0.8010 0.3420
Co2 Co 0.0065 0.0114 0.1453
```

***

Record 3
# EuTlW2O8

An optimized crystal structure of EuTlW2O8 (PBE with a Hubbard U, the Materials Project).

Properties
Total energy after the MP2020 corrections ... -211.759 eV/cell
Magnetic moment ... 12.000 Bohr magnetons per cell
Symmetry ... C2/c, No. 15
Formation enthalpy at 0 K ... -2678 kJ/mol of formula units

```
data_EuTlW2O8
_cell_length_a 7.7260
_cell_length_b 7.7260
_cell_length_c 7.5584
_cell_angle_alpha 62.85
_cell_angle_beta 62.85
_cell_angle_gamma 89.47
_symmetry_space_group_name_H-M 'P 1'
_symmetry_Int_Tables_number 1
_symmetry_space_group_name_Hall 'P 1'
loop_
_atom_site_label
_atom_site_type_symbol
_atom_site_fract_x
_atom_site_fract_y
_atom_site_fract_z
O1 O 0.7557 0.6197 0.0571
O2 O 0.6186 0.9296 0.1309
O3 O 0.5840 0.3717 0.9708
O4 O 0.0508 0.2123 0.8099
O5 O 0.3814 0.0704 0.8691
O6 O 0.3717 0.5840 0.4708
O7 O 0.2123 0.0508 0.3099
O8 O 0.0704 0.3814 0.3691
O9 O 0.7877 0.9492 0.6901
O10 O 0.2443 0.3803 0.9429
O11 O 0.9296 0.6186 0.6309
O12 O 0.6283 0.4160 0.5292
O13 O 0.3803 0.2443 0.4429
O14 O 0.6197 0.7557 0.5571
O15 O 0.9492 0.7877 0.1901
O16 O 0.4160 0.6283 0.0292
W1 W 0.3108 0.3021 0.7237
W2 W 0.6892 0.6979 0.2763
W3 W 0.3021 0.3108 0.2237
W4 W 0.6979 0.6892 0.7763
Eu1 Eu 0.7745 0.2255 0.7500
Eu2 Eu 0.2255 0.7745 0.2500
Tl1 Tl 0.7966 0.2034 0.2500
Tl2 Tl 0.2034 0.7966 0.7500
```

***

Record 4
# FeGe3H4PbO10

An optimized crystal structure of FeGe3H4PbO10 (PBE with a Hubbard U, the Materials Project).

Properties
Total energy after the MP2020 corrections ... -244.681 eV/cell
Magnetic moment ... 8.000 Bohr magnetons per cell
Symmetry ... P2_1/m, No. 11
Formation enthalpy at 0 K ... -3207 kJ/mol of formula units

```
data_FeGe3H4PbO10
_cell_length_a 5.4801
_cell_length_b 6.0175
_cell_length_c 13.7504
_cell_angle_alpha 90.00
_cell_angle_beta 90.00
_cell_angle_gamma 112.16
_symmetry_space_group_name_H-M 'P 1'
_symmetry_Int_Tables_number 1
_symmetry_space_group_name_Hall 'P 1'
loop_
_atom_site_label
_atom_site_type_symbol
_atom_site_fract_x
_atom_site_fract_y
_atom_site_fract_z
H1 H 0.4598 0.3630 0.4347
H2 H 0.5402 0.6370 0.9347
H3 H 0.6523 0.3500 0.1904
H4 H 0.5402 0.6370 0.5653
H5 H 0.3477 0.6500 0.8096
H6 H 0.3477 0.6500 0.6904
H7 H 0.4598 0.3630 0.0653
H8 H 0.6523 0.3500 0.3096
Ge1 Ge 0.0020 0.9630 0.6291
Ge2 Ge 0.9980 0.0370 0.3709
Ge3 Ge 0.9980 0.0370 0.1291
Ge4 Ge 0.5000 0.0000 0.0000
Ge5 Ge 0.0020 0.9630 0.8709
Ge6 Ge 0.5000 0.0000 0.5000
O1 O 0.6103 0.3098 0.4424
O2 O 0.3261 0.5512 0.7500
O3 O 0.8412 0.1258 0.9377
O4 O 0.3472 0.1002 0.6113
O5 O 0.6528 0.8998 0.3887
O6 O 0.6103 0.3098 0.0576
O7 O 0.1588 0.8742 0.4377
O8 O 0.3897 0.6902 0.9424
O9 O 0.8544 0.6491 0.8870
O10 O 0.6528 0.8998 0.1113
O11 O 0.0679 0.9679 0.2500
O12 O 0.6739 0.4488 0.2500
O13 O 0.8412 0.1258 0.5623
O14 O 0.9321 0.0321 0.7500
O15 O 0.8544 0.6491 0.6130
O16 O 0.1456 0.3509 0.1130
O17 O 0.1456 0.3509 0.3870
O18 O 0.3472 0.1002 0.8887
O19 O 0.1588 0.8742 0.0623
O20 O 0.3897 0.6902 0.5576
Fe1 Fe 0.0000 0.5000 0.0000
Fe2 Fe 0.0000 0.5000 0.5000
Pb1 Pb 0.3233 0.6470 0.2500
Pb2 Pb 0.6767 0.3530 0.7500
```

***

Which uncorrected energy belongs to each record? In order, -6.714; -6.134; -7.626; -5.959 eV/atom.